Mg6TiMo (GGA-PBE, optimized geometry); energy above the most stable polymorph in this dataset = 74 meV per atom; total magnetic moment = 0.00 μB per formula unit; E = -52.6 eV/cell; formation energy from the elements = 0.255 eV per atom
1.0
4.977 0.000 0.000
0.000 5.782 0.000
0.000 0.000 11.088
Mg Mo Ti
12 2 2
direct
0.000 0.243 0.586
0.000 0.757 0.586
0.500 0.249 0.423
0.500 0.749 0.923
0.000 0.743 0.086
0.500 0.751 0.423
0.000 0.257 0.086
0.500 0.251 0.923
0.000 0.000 0.321
0.000 0.000 0.816
0.000 0.500 0.316
0.000 0.500 0.821
0.500 0.500 0.173
0.500 0.000 0.673
0.500 0.500 0.671
0.500 0.000 0.171


Mg14VMo (GGA-PBE, optimized geometry); space group = P-6m2, No. 187; energy above the most stable polymorph in this dataset = 11 meV per atom; total magnetic moment = 4.14 μB per formula unit; E = -39.3 eV/cell; formation energy from the elements = 0.188 eV per atom
1.0
6.266 0.000 0.000
-3.133 5.426 0.000
0.000 0.000 9.936
Mg V Mo
14 1 1
direct
0.000 0.000 0.250
0.000 0.000 0.750
0.015 0.507 0.247
0.015 0.507 0.753
0.335 0.168 0.500
0.336 0.168 0.000
0.493 0.507 0.247
0.493 0.507 0.753
0.493 0.985 0.247
0.493 0.985 0.753
0.832 0.168 0.000
0.832 0.168 0.500
0.832 0.664 0.000
0.832 0.665 0.500
0.333 0.667 0.500
0.333 0.667 0.000


Mg14VMo (GGA-PBE, optimized geometry); space group = Amm2, No. 38; energy above the most stable polymorph in this dataset = 0 meV per atom; total magnetic moment = 0.05 μB per formula unit; E = -39.5 eV/cell; formation energy from the elements = 0.177 eV per atom
1.0
9.984 0.000 0.000
0.000 3.026 5.498
0.000 -3.026 5.498
Mg V Mo
14 1 1
direct
0.000 0.000 0.000
0.000 0.001 0.502
0.000 0.500 0.500
0.000 0.502 0.001
0.257 0.158 0.158
0.259 0.658 0.658
0.265 0.171 0.669
0.265 0.669 0.171
0.500 0.003 0.501
0.500 0.501 0.003
0.735 0.171 0.669
0.735 0.669 0.171
0.741 0.658 0.658
0.743 0.158 0.158
0.500 0.004 0.004
0.500 0.506 0.506


Mg6MoW (GGA-PBE, optimized geometry); energy above the most stable polymorph in this dataset = 109 meV per atom; total magnetic moment = 0.00 μB per formula unit; E = -60.5 eV/cell; formation energy from the elements = 0.393 eV per atom
1.0
-4.659 -1.200 -0.955
1.758 -4.823 -2.518
-0.613 -5.189 9.511
Mg W Mo
12 2 2
direct
0.500 0.750 0.423
0.000 0.250 0.587
0.500 0.250 0.923
0.000 0.250 0.087
0.000 0.000 0.817
0.500 0.250 0.423
0.000 0.000 0.317
0.000 0.750 0.087
0.500 0.750 0.923
0.000 0.500 0.317
0.000 0.750 0.587
0.000 0.500 0.817
0.500 0.500 0.173
0.500 0.000 0.673
0.500 0.500 0.674
0.500 0.000 0.174


Mg6MoW (GGA-PBE, optimized geometry); energy above the most stable polymorph in this dataset = 0 meV per atom; total magnetic moment = 0.00 μB per formula unit; E = -62.3 eV/cell; formation energy from the elements = 0.284 eV per atom
1.0
4.743 0.000 0.000
0.000 5.956 0.000
0.000 0.000 10.880
Mg W Mo
12 2 2
direct
0.500 0.242 0.924
0.500 0.500 0.669
0.500 0.000 0.169
0.000 0.000 0.330
0.500 0.258 0.424
0.000 0.741 0.076
0.000 0.259 0.076
0.500 0.758 0.924
0.500 0.742 0.424
0.000 0.500 0.830
0.000 0.241 0.576
0.000 0.759 0.576
0.500 0.000 0.689
0.500 0.500 0.189
0.000 0.000 0.810
0.000 0.500 0.310


Mg14MoW (GGA-PBE, optimized geometry); space group = P-6m2, No. 187; energy above the most stable polymorph in this dataset = 58 meV per atom; total magnetic moment = 1.45 μB per formula unit; E = -42.1 eV/cell; formation energy from the elements = 0.259 eV per atom
1.0
6.210 0.000 0.000
-3.105 5.378 0.000
0.000 0.000 9.862
Mg Mo W
14 1 1
direct
0.000 0.000 0.250
0.000 0.000 0.750
0.019 0.510 0.249
0.019 0.510 0.751
0.336 0.168 0.000
0.336 0.168 0.500
0.490 0.510 0.249
0.490 0.510 0.751
0.490 0.981 0.249
0.490 0.981 0.751
0.832 0.168 0.000
0.832 0.168 0.500
0.832 0.664 0.000
0.832 0.664 0.500
0.333 0.667 0.500
0.333 0.667 0.000


Mg14MoW (GGA-PBE, optimized geometry); space group = Amm2, No. 38; energy above the most stable polymorph in this dataset = 0 meV per atom; total magnetic moment = 0.00 μB per formula unit; E = -43.0 eV/cell; formation energy from the elements = 0.201 eV per atom
1.0
9.973 0.000 0.000
0.000 3.012 5.483
0.000 -3.012 5.483
Mg Mo W
14 1 1
direct
0.000 0.000 0.000
0.000 0.002 0.502
0.000 0.500 0.500
0.000 0.502 0.002
0.257 0.157 0.157
0.257 0.657 0.657
0.264 0.170 0.670
0.264 0.670 0.170
0.500 0.002 0.502
0.500 0.502 0.002
0.736 0.170 0.670
0.736 0.670 0.170
0.743 0.157 0.157
0.743 0.657 0.657
0.500 0.006 0.006
0.500 0.506 0.506


Mg6ZnMo (GGA-PBE, optimized geometry); energy above the most stable polymorph in this dataset = 5 meV per atom; total magnetic moment = 0.00 μB per formula unit; E = -40.5 eV/cell; formation energy from the elements = 0.184 eV per atom
1.0
4.847 0.000 0.000
0.000 6.036 0.000
0.000 0.000 10.680
Mg Mo Zn
12 2 2
direct
0.000 0.000 0.328
0.000 0.500 0.828
0.500 0.748 0.419
0.000 0.259 0.087
0.000 0.000 0.824
0.000 0.741 0.087
0.500 0.252 0.419
0.000 0.500 0.324
0.000 0.759 0.587
0.500 0.752 0.919
0.000 0.241 0.587
0.500 0.248 0.919
0.500 0.000 0.670
0.500 0.500 0.170
0.500 0.500 0.666
0.500 0.000 0.166


Mg6ZnMo (GGA-PBE, optimized geometry); energy above the most stable polymorph in this dataset = 0 meV per atom; total magnetic moment = 0.33 μB per formula unit; E = -40.5 eV/cell; formation energy from the elements = 0.179 eV per atom
1.0
-1.569 0.774 4.492
5.243 -2.367 2.239
4.407 9.646 -0.124
Zn Mg Mo
2 12 2
direct
0.000 0.500 0.318
0.000 0.000 0.818
0.500 0.000 0.166
0.000 0.235 0.591
0.500 0.500 0.666
0.500 0.257 0.416
0.000 0.265 0.091
0.500 0.757 0.916
0.500 0.243 0.916
0.000 0.735 0.091
0.000 0.500 0.833
0.000 0.765 0.591
0.500 0.743 0.416
0.000 0.000 0.333
0.500 0.500 0.170
0.500 0.000 0.670


Mg6ZrMo (GGA-PBE, optimized geometry); energy above the most stable polymorph in this dataset = 55 meV per atom; total magnetic moment = 0.00 μB per formula unit; E = -54.5 eV/cell; formation energy from the elements = 0.218 eV per atom
1.0
-0.340 -4.964 -0.875
2.266 0.784 -5.325
10.398 -1.454 4.210
Mg Zr Mo
12 2 2
direct
0.000 0.242 0.585
0.500 0.750 0.924
0.000 0.500 0.312
0.000 0.742 0.085
0.000 0.000 0.326
0.500 0.250 0.424
0.000 0.000 0.812
0.000 0.500 0.826
0.500 0.250 0.924
0.500 0.750 0.424
0.000 0.758 0.585
0.000 0.258 0.085
0.500 0.000 0.174
0.500 0.500 0.674
0.500 0.500 0.171
0.500 0.000 0.671


Mg6ZrMo (GGA-PBE, optimized geometry); energy above the most stable polymorph in this dataset = 0 meV per atom; total magnetic moment = 0.00 μB per formula unit; E = -55.4 eV/cell; formation energy from the elements = 0.163 eV per atom
1.0
-0.687 4.525 -1.814
-1.566 -2.407 -5.410
-10.673 -0.325 3.234
Mg Mo Zr
12 2 2
direct
0.500 0.753 0.927
0.500 0.500 0.673
0.500 0.000 0.173
0.500 0.747 0.427
0.000 0.500 0.830
0.000 0.756 0.571
0.000 0.744 0.071
0.000 0.256 0.071
0.000 0.000 0.330
0.000 0.244 0.571
0.500 0.247 0.927
0.500 0.253 0.427
0.500 0.000 0.700
0.500 0.500 0.200
0.000 0.000 0.801
0.000 0.500 0.301


Mg3N2 (GGA-PBE, optimized geometry); space group = Ia-3, No. 206; E = -201.8 eV/cell; formation energy from the elements = -0.896 eV per atom
1.0
-5.012 5.012 5.012
5.012 -5.012 5.012
5.012 5.012 -5.012
Mg N
24 16
direct
0.007 0.465 0.737
0.035 0.042 0.272
0.042 0.272 0.035
0.228 0.270 0.763
0.230 0.458 0.493
0.237 0.772 0.730
0.263 0.993 0.535
0.270 0.763 0.228
0.272 0.035 0.042
0.458 0.493 0.230
0.465 0.737 0.007
0.493 0.230 0.458
0.507 0.770 0.542
0.535 0.263 0.993
0.542 0.507 0.770
0.728 0.965 0.958
0.730 0.237 0.772
0.737 0.007 0.465
0.763 0.228 0.270
0.770 0.542 0.507
0.772 0.730 0.237
0.958 0.728 0.965
0.965 0.958 0.728
0.993 0.535 0.263
0.000 0.000 0.000
0.000 0.500 0.500
0.031 0.781 0.250
0.219 0.750 0.969
0.250 0.031 0.781
0.250 0.531 0.281
0.281 0.250 0.531
0.469 0.719 0.750
0.500 0.000 0.500
0.500 0.500 0.000
0.531 0.281 0.250
0.719 0.750 0.469
0.750 0.469 0.719
0.750 0.969 0.219
0.781 0.250 0.031
0.969 0.219 0.750


Mg3N (GGA-PBE, optimized geometry); space group = P6_3/mmc, No. 194; total magnetic moment = 0.00 μB per formula unit; E = -21.6 eV/cell; formation energy from the elements = 0.494 eV per atom
1.0
5.622 0.000 0.000
-2.811 4.869 0.000
0.000 0.000 4.732
Mg N
6 2
direct
0.171 0.342 0.250
0.171 0.829 0.250
0.342 0.171 0.750
0.658 0.829 0.250
0.829 0.171 0.750
0.829 0.658 0.750
0.333 0.667 0.750
0.667 0.333 0.250


NaMgN (GGA-PBE, optimized geometry); space group = P6_3mc, No. 186; total magnetic moment = 0.00 μB per formula unit; E = -23.7 eV/cell; formation energy from the elements = -0.323 eV per atom
1.0
3.551 0.000 0.000
-1.775 3.075 0.000
0.000 0.000 8.880
Na Mg N
2 2 2
direct
0.333 0.667 0.000
0.667 0.333 0.500
0.000 0.000 0.274
0.000 0.000 0.774
0.333 0.667 0.304
0.667 0.333 0.804


NaMgN (GGA-PBE, optimized geometry); space group = Pnma, No. 62; total magnetic moment = 0.00 μB per formula unit; E = -47.9 eV/cell; formation energy from the elements = -0.360 eV per atom
1.0
6.638 0.000 0.000
0.000 3.745 0.000
0.000 0.000 6.207
Na Mg N
4 4 4
direct
0.043 0.250 0.155
0.457 0.750 0.655
0.543 0.250 0.345
0.957 0.750 0.845
0.145 0.250 0.584
0.355 0.750 0.084
0.645 0.250 0.916
0.855 0.750 0.416
0.186 0.750 0.389
0.314 0.250 0.889
0.686 0.750 0.111
0.814 0.250 0.611


NaMgN (GGA-PBE, optimized geometry); space group = P-6m2, No. 187; total magnetic moment = 0.00 μB per formula unit; E = -10.9 eV/cell; formation energy from the elements = 0.001 eV per atom
1.0
4.380 0.000 0.000
-2.190 3.793 0.000
0.000 0.000 3.881
Na Mg N
1 1 1
direct
0.000 0.000 0.000
0.667 0.333 0.500
0.667 0.333 0.000


Mg2NbN3 (GGA-PBE, optimized geometry); space group = C2/c, No. 15; energy above the most stable polymorph in this dataset = 0 meV per atom; E = -88.5 eV/cell; formation energy from the elements = -1.166 eV per atom
1.0
4.786 -3.104 0.000
4.786 3.104 0.000
-2.685 0.000 5.085
Mg Nb N
4 2 6
direct
0.084 0.246 0.077
0.246 0.084 0.577
0.754 0.916 0.423
0.916 0.754 0.923
0.411 0.589 0.750
0.589 0.411 0.250
0.098 0.902 0.750
0.273 0.413 0.926
0.413 0.273 0.426
0.587 0.727 0.574
0.727 0.587 0.074
0.902 0.098 0.250


Mg2NbN3 (GGA-PBE, optimized geometry); space group = C2/m, No. 12; energy above the most stable polymorph in this dataset = 30 meV per atom; total magnetic moment = 0.00 μB per formula unit; E = -88.1 eV/cell; formation energy from the elements = -1.137 eV per atom
1.0
2.702 -4.673 0.000
2.702 4.673 0.000
-1.815 0.000 5.083
Mg Nb N
4 2 6
direct
0.000 0.000 0.000
0.163 0.837 0.500
0.500 0.500 0.500
0.837 0.163 0.500
0.332 0.668 0.000
0.668 0.332 0.000
0.078 0.425 0.235
0.266 0.266 0.760
0.425 0.078 0.235
0.575 0.922 0.765
0.734 0.734 0.240
0.922 0.575 0.765